Record 1
Density functional theory data (PBE with a Hubbard U) for a relaxed structure of La2CoIrO6.

**Formation energy**: -2533 meV per atom
**Spin magnetization**: 7.88 μB per cell
**Mass density**: 8.465 g cm⁻³
**DFT total energy**: -75.08 eV per formula unit
**Symmetry**: P2_1/c, No. 14
**Volume**: 122.6 Å³/f.u.

Cell: 5.5145 5.6641 9.5830 Å, 90.00 125.00 90.00°
With the nearest neighbours (Å) after each atom.
Positions (direct):
La1 0.2368 0.0568 0.2494  6 O 2.37-2.63
La2 0.2368 0.4432 0.7494  6 O 2.37-2.63
La3 0.7632 0.5568 0.2506  6 O 2.37-2.63
La4 0.7632 0.9432 0.7506  6 O 2.37-2.63
Co1 0.0000 0.0000 0.5000  6 O 1.97-2.00
Co2 0.0000 0.5000 0.0000  6 O 1.97-2.00
Ir1 0.5000 0.0000 0.0000  6 O 2.08-2.10
Ir2 0.5000 0.5000 0.5000  6 O 2.08-2.10
O1 0.1467 0.2093 0.9529  1 Co 2.00, 1 Ir 2.10
O2 0.1467 0.2907 0.4529  1 Co 2.00, 1 Ir 2.10
O3 0.2477 0.6975 0.9535  1 Co 2.00, 1 Ir 2.09
O4 0.2477 0.8025 0.4535  1 Co 2.00, 1 Ir 2.09
O5 0.3326 0.0188 0.7428  1 Co 1.97, 1 Ir 2.08
O6 0.3326 0.4812 0.2428  1 Co 1.97, 1 Ir 2.08
O7 0.6674 0.5188 0.7572  1 Co 1.97, 1 Ir 2.08
O8 0.6674 0.9812 0.2572  1 Co 1.97, 1 Ir 2.08
O9 0.7523 0.1975 0.5465  1 Co 2.00, 1 Ir 2.09
O10 0.7523 0.3025 0.0465  1 Co 2.00, 1 Ir 2.09
O11 0.8533 0.7093 0.5471  1 Co 2.00, 1 Ir 2.10
O12 0.8533 0.7907 0.0471  1 Co 2.00, 1 Ir 2.10

---

Record 2
Density functional theory data (PBE with a Hubbard U) for a relaxed structure of Mg2CoIrO6.

**Formation energy**: -1885 meV per atom
**Spin magnetization**: 3.64 μB per cell
**Mass density**: 6.733 g cm⁻³
**DFT total energy**: -61.92 eV per formula unit
**Symmetry**: P2_1/c, No. 14
**Volume**: 97.6 Å³/f.u.

Cell: 5.0390 5.2476 8.9302 Å, 90.00 124.24 90.00°
With the nearest neighbours (Å) after each atom.
Positions (direct):
Mg1 0.2350 0.0641 0.2476  4 O 2.03-2.07
Mg2 0.2350 0.4359 0.7476  4 O 2.03-2.07
Mg3 0.7650 0.5641 0.2524  4 O 2.03-2.07
Mg4 0.7650 0.9359 0.7524  4 O 2.03-2.07
Co1 0.0000 0.0000 0.5000  6 O 1.93-1.97
Co2 0.0000 0.5000 0.0000  6 O 1.93-1.97
Ir1 0.5000 0.0000 0.0000  6 O 1.97-2.02
Ir2 0.5000 0.5000 0.5000  6 O 1.97-2.02
O1 0.1090 0.1886 0.9321  1 Co 1.93, 1 Ir 1.97, 1 Mg 2.05
O2 0.1090 0.3114 0.4321  1 Co 1.93, 1 Ir 1.97, 1 Mg 2.05
O3 0.2456 0.6820 0.9293  1 Co 1.93, 1 Ir 1.98, 1 Mg 2.05
O4 0.2456 0.8180 0.4293  1 Co 1.93, 1 Ir 1.98, 1 Mg 2.05
O5 0.3794 0.0669 0.7466  1 Co 1.97, 1 Ir 2.02, 2 Mg 2.03-2.07
O6 0.3794 0.4331 0.2466  1 Co 1.97, 1 Ir 2.02, 2 Mg 2.03-2.07
O7 0.6206 0.5669 0.7534  1 Co 1.97, 1 Ir 2.02, 2 Mg 2.03-2.07
O8 0.6206 0.9331 0.2534  1 Co 1.97, 1 Ir 2.02, 2 Mg 2.03-2.07
O9 0.7544 0.1820 0.5707  1 Co 1.93, 1 Ir 1.98, 1 Mg 2.05
O10 0.7544 0.3180 0.0707  1 Co 1.93, 1 Ir 1.98, 1 Mg 2.05
O11 0.8910 0.6886 0.5679  1 Co 1.93, 1 Ir 1.97, 1 Mg 2.05
O12 0.8910 0.8114 0.0679  1 Co 1.93, 1 Ir 1.97, 1 Mg 2.05

---

Record 3
Density functional theory data (PBE with a Hubbard U) for a relaxed structure of Sr4CoIr3O12.

**Formation energy**: -2059 meV per atom
**Spin magnetization**: 7.98 μB per cell
**Mass density**: 7.755 g cm⁻³
**DFT total energy**: -131.05 eV per formula unit
**Symmetry**: P-1, No. 2
**Volume**: 252.3 Å³/f.u.

Cell: 5.6018 5.6627 7.9526 Å, 90.31 90.04 90.14°
With the nearest neighbours (Å) after each atom.
Positions (direct):
Sr1 0.0041 0.4638 0.2588  7 O 2.48-2.77
Sr2 0.4875 0.9583 0.2599  6 O 2.46-2.69
Sr3 0.5125 0.0417 0.7401  6 O 2.46-2.69
Sr4 0.9959 0.5362 0.7412  7 O 2.48-2.77
Co1 0.5000 0.5000 0.5000  6 O 2.06-2.08
Ir1 0.0000 0.0000 0.0000  6 O 2.04-2.05
Ir2 0.0000 0.0000 0.5000  6 O 1.97-2.03
Ir3 0.5000 0.5000 0.0000  6 O 1.95-2.05
O1 0.0767 0.9843 0.7495  2 Ir 2.03-2.04
O2 0.2006 0.7017 0.0364  2 Ir 2.05
O3 0.2087 0.7214 0.4665  1 Ir 1.98, 1 Co 2.08
O4 0.2770 0.2120 0.4722  1 Ir 1.97, 1 Co 2.06
O5 0.2971 0.2045 0.0390  2 Ir 2.05
O6 0.4432 0.4916 0.7582  1 Ir 1.95, 1 Co 2.08
O7 0.5568 0.5084 0.2418  1 Ir 1.95, 1 Co 2.08
O8 0.7029 0.7955 0.9610  2 Ir 2.05
O9 0.7230 0.7880 0.5278  1 Ir 1.97, 1 Co 2.06
O10 0.7913 0.2786 0.5335  1 Ir 1.98, 1 Co 2.08
O11 0.7994 0.2983 0.9636  2 Ir 2.05
O12 0.9233 0.0157 0.2505  2 Ir 2.03-2.04

---

Record 4
Density functional theory data (PBE with a Hubbard U) for a relaxed structure of KLaCoWO6.

**Formation energy**: -2355 meV per atom
**Spin magnetization**: 3.00 μB per cell
**Mass density**: 6.733 g cm⁻³
**DFT total energy**: -69.15 eV per formula unit
**Symmetry**: F-43m, No. 216
**Volume**: 127.5 Å³/f.u.

Cell: 5.6488 5.6488 5.6488 Å, 60.00 60.00 60.00°
With the nearest neighbours (Å) after each atom.
Positions (direct):
K1 0.0000 0.0000 0.0000  12 O 2.82
La1 0.5000 0.5000 0.5000  12 O 2.82
Co1 0.2500 0.2500 0.2500  6 O 2.05
W1 0.7500 0.7500 0.7500  6 O 1.94
O1 0.5066 0.5066 0.9934  1 W 1.94, 1 Co 2.05
O2 0.5066 0.9934 0.5066  1 W 1.94, 1 Co 2.05
O3 0.5066 0.9934 0.9934  1 W 1.94, 1 Co 2.05
O4 0.9934 0.5066 0.5066  1 W 1.94, 1 Co 2.05
O5 0.9934 0.5066 0.9934  1 W 1.94, 1 Co 2.05
O6 0.9934 0.9934 0.5066  1 W 1.94, 1 Co 2.05

---

Which of these has the highest DFT total energy?
Mg2CoIrO6